DFT (PBE with a Hubbard U) results for Li3Fe2Ni3O10 after structural relaxation.

a = 5.0480 Å, b = 5.0692 Å, c = 7.6982 Å
α = 71.25°, β = 70.93°, γ = 79.70°
Last column: nearest neighbours and their distance in Å.
Element x y z (fractional)
Li1 0.0000 0.0000 0.0000  5 O 2.01-2.13
Li2 0.0130 0.8361 0.3845  6 O 2.05-2.23
Li3 0.0359 0.3684 0.2135  4 O 2.00-2.08
Fe1 0.5118 0.7138 0.0911  4 O 1.81-1.94
Fe2 0.5271 0.4963 0.4750  4 O 1.83-1.99
Ni1 0.0159 0.6012 0.7819  6 O 1.89-2.08
Ni2 0.5051 0.9118 0.6816  6 O 1.95-2.10
Ni3 0.5241 0.3084 0.8820  6 O 1.90-2.10
O1 0.2691 0.7993 0.5533  2 Ni 1.89-2.02, 1 Fe 1.95, 1 Li 2.06
O2 0.2766 0.6585 0.9256  3 Ni 2.02-2.08, 1 Fe 2.11, 1 Li 2.13
O3 0.2870 0.5114 0.3119  2 Fe 1.81-1.99, 1 Li 2.00
O4 0.2933 0.0579 0.1062  1 Fe 1.91, 1 Ni 1.94, 2 Li 2.01-2.06
O5 0.2974 0.2719 0.7379  3 Ni 1.90-2.04, 1 Fe 2.05
O6 0.7291 0.1661 0.4518  1 Fe 1.83, 1 Ni 1.95
O7 0.7435 0.5647 0.6462  3 Ni 1.97-2.04, 1 Fe 2.10
O8 0.7472 0.9252 0.8543  1 Fe 1.91, 3 Ni 2.04-2.10, 1 Li 2.10
O9 0.7614 0.3830 0.0045  2 Ni 1.90-1.91, 1 Fe 2.06, 1 Li 2.10
O10 0.7605 0.7115 0.2378  2 Fe 1.92-1.94, 2 Li 2.04-2.10

Summary:
The value obtained for the total magnetic moment is 0.6111 μB/atom. As for the space-group type: P1, No. 1. As for the total energy: -95.49 eV/f.u. For the calculated formation energy, the calculation gives -1.39 eV/atom. As for the calculated density: 4.43 g/cm³.

DFT (PBE with a Hubbard U) results for Fe3OF5 after structural relaxation.

a = 5.7871 Å, b = 5.7871 Å, c = 7.4616 Å
α = 105.86°, β = 105.86°, γ = 72.69°
Last column: nearest neighbours and their distance in Å.
Element x y z (fractional)
Fe1 0.0000 0.0000 0.0000  6 F 1.99-2.19
Fe2 0.0040 0.0040 0.5022  1 O 2.04, 5 F 2.09-2.23
Fe3 0.3250 0.3250 0.3593  1 O 1.81
Fe4 0.3433 0.3433 0.8222  2 O 2.05-2.07, 3 F 2.07-2.20
Fe5 0.6581 0.6581 0.1548  1 O 1.83, 2 F 2.04-2.05
Fe6 0.6643 0.6643 0.6806  1 O 2.01, 5 F 2.14-2.21
O1 0.2296 0.2296 0.5333  1 Fe 1.81
O2 0.5784 0.5784 0.8938  2 Fe 1.83-2.01
F1 0.0359 0.6375 0.8392  3 Fe 2.07-2.14
F2 0.1031 0.1031 0.8058  3 Fe 1.99-2.20
F3 0.2937 0.6859 0.4915  3 Fe 2.03-2.21
F4 0.3719 0.9759 0.1810  3 Fe 2.08-2.19
F5 0.4406 0.4406 0.1591  2 Fe 2.04-2.12
F6 0.6375 0.0359 0.8392  3 Fe 2.07-2.14
F7 0.6859 0.2937 0.4915  3 Fe 2.03-2.21
F8 0.7544 0.7544 0.4528  3 Fe 2.10-2.23
F9 0.8865 0.8865 0.1960  3 Fe 2.05-2.17
F10 0.9759 0.3719 0.1810  3 Fe 2.08-2.19

Summary:
The value obtained for the total magnetic moment is 1.4444 μB/atom. As for the space-group type: Cm, No. 8. The energy above the most stable polymorph in this dataset is 0.0375 eV/atom. As for the total energy: -51.34 eV/f.u. For the calculated formation energy, the calculation gives -2.35 eV/atom. As for the calculated density: 4.12 g/cm³.

DFT (PBE with a Hubbard U) results for Sr2MnAlCu2O7 after structural relaxation.

a = 5.3207 Å, b = 5.3299 Å, c = 12.2744 Å
α = 77.49°, β = 77.49°, γ = 89.99°
Last column: nearest neighbours and their distance in Å.
Element x y z (fractional)
Sr1 0.0000 0.0000 0.0000  7 O 2.48-2.77
Sr2 0.2034 0.2030 0.5923  7 O 2.49-2.78
Sr3 0.5142 0.4997 0.0000  7 O 2.48-2.77
Sr4 0.7175 0.7033 0.5923  7 O 2.49-2.77
Mn1 0.1698 0.6397 0.7963  4 O 1.90-2.03
Mn2 0.5476 0.1396 0.7963  4 O 1.90-2.03
Al1 0.3589 0.3455 0.2963  4 O 1.83-1.84
Al2 0.8599 0.8466 0.2963  4 O 1.83-1.84
Cu1 0.3010 0.7884 0.4131  4 O 1.96-1.97
Cu2 0.4176 0.9060 0.1791  4 O 1.96-1.97
Cu3 0.7992 0.2887 0.4129  4 O 1.96-1.97
Cu4 0.9186 0.4061 0.1794  4 O 1.96
O1 0.0244 0.5156 0.9552  1 Mn 1.91
O2 0.0903 0.0788 0.1886  1 Al 1.84, 2 Cu 1.96
O3 0.1267 0.1155 0.4039  1 Al 1.84, 2 Cu 1.97
O4 0.1832 0.6747 0.6374  1 Mn 1.90
O5 0.1916 0.0037 0.7963  2 Mn 1.94-2.03
O6 0.2360 0.5781 0.1888  1 Al 1.84, 2 Cu 1.96-1.97
O7 0.4822 0.4699 0.4036  1 Al 1.83, 2 Cu 1.96-1.97
O8 0.5260 0.5040 0.7962  2 Mn 1.95-2.03
O9 0.5343 0.0157 0.9551  1 Mn 1.90
O10 0.5919 0.2240 0.1877  1 Al 1.84, 2 Cu 1.96-1.97
O11 0.6280 0.9705 0.4032  1 Al 1.83, 2 Cu 1.96
O12 0.6938 0.1732 0.6377  1 Mn 1.90
O13 0.7365 0.7239 0.1882  1 Al 1.84, 2 Cu 1.96-1.97
O14 0.9823 0.6149 0.4043  1 Al 1.84, 2 Cu 1.96-1.97

Summary:
The value obtained for the total magnetic moment is 0.3076 μB/atom. As for the space-group type: P1, No. 1. As for the total energy: -81.91 eV/f.u. For the calculated formation energy, the calculation gives -2.25 eV/atom. As for the calculated density: 4.97 g/cm³.

DFT (PBE with a Hubbard U) results for CsMnCrF6 after structural relaxation.

a = 7.6241 Å, b = 7.6241 Å, c = 7.6241 Å
α = 120.98°, β = 119.90°, γ = 89.25°
Last column: nearest neighbours and their distance in Å.
Element x y z (fractional)
Cs1 0.3786 0.1286 0.2500  6 F 3.17-3.49
Cs2 0.6214 0.8714 0.7500  6 F 3.17-3.49
Mn1 0.0000 0.5000 0.5000  6 F 2.09-2.15
Mn2 0.5000 0.5000 0.0000  6 F 2.09-2.15
Cr1 0.0000 0.0000 0.5000  6 F 1.95-1.98
Cr2 0.0000 0.5000 0.0000  6 F 1.95-1.98
F1 0.0571 0.8071 0.2500  2 Cr 1.98
F2 0.0619 0.4236 0.2275  1 Cr 1.95, 1 Mn 2.15
F3 0.0619 0.8345 0.6384  1 Cr 1.95, 1 Mn 2.15
F4 0.3039 0.1655 0.7275  1 Cr 1.95, 1 Mn 2.15
F5 0.3039 0.5764 0.1384  1 Cr 1.95, 1 Mn 2.15
F6 0.3295 0.5795 0.7500  2 Mn 2.09
F7 0.6705 0.4205 0.2500  2 Mn 2.09
F8 0.6961 0.4236 0.8616  1 Cr 1.95, 1 Mn 2.15
F9 0.6961 0.8345 0.2725  1 Cr 1.95, 1 Mn 2.15
F10 0.9381 0.1655 0.3616  1 Cr 1.95, 1 Mn 2.15
F11 0.9381 0.5764 0.7725  1 Cr 1.95, 1 Mn 2.15
F12 0.9429 0.1929 0.7500  2 Cr 1.98

Summary:
The value obtained for the total magnetic moment is 0.8888 μB/atom. As for the space-group type: Imma, No. 74. As for the total energy: -52.49 eV/f.u. For the calculated formation energy, the calculation gives -3.08 eV/atom. As for the calculated density: 3.78 g/cm³.